i.
{
  "formula": "Mo2P3O12",
  "functional": "GGA+U",
  "state": "optimized geometry",
  "lattice": [[7.648, -4.419, 0.000], [7.648, 4.419, 0.000], [5.095, 0.000, 7.216]],
  "species": ["O", "O", "O", "O", "O", "O", "O", "O", "O", "O", "P", "O", "O", "Mo", "O", "Mo", "P", "O", "O", "O", "P", "O", "O", "O", "P", "O", "O", "Mo", "O", "O", "P", "P", "Mo", "O"],
  "fractional_positions": [[0.761, 0.540, 0.372], [0.469, 0.696, 0.836], [0.239, 0.628, 0.460], [0.249, 0.878, 0.045], [0.531, 0.164, 0.304], [0.304, 0.531, 0.164], [0.180, 0.970, 0.335], [0.696, 0.836, 0.469], [0.540, 0.372, 0.761], [0.460, 0.239, 0.628], [0.789, 0.500, 0.211], [0.372, 0.761, 0.540], [0.955, 0.122, 0.751], [0.108, 0.108, 0.108], [0.878, 0.045, 0.249], [0.389, 0.389, 0.389], [0.211, 0.789, 0.500], [0.164, 0.304, 0.531], [0.665, 0.030, 0.820], [0.751, 0.955, 0.122], [0.288, 0.712, 0.000], [0.820, 0.665, 0.030], [0.335, 0.180, 0.970], [0.030, 0.820, 0.665], [0.712, 0.000, 0.288], [0.628, 0.460, 0.239], [0.970, 0.335, 0.180], [0.611, 0.611, 0.611], [0.045, 0.249, 0.878], [0.836, 0.469, 0.696], [0.000, 0.288, 0.712], [0.500, 0.211, 0.789], [0.892, 0.892, 0.892], [0.122, 0.751, 0.955]],
  "crystal_system": "trigonal"
}

***

ii.
{
  "formula": "Mo2P3O12",
  "functional": "GGA+U",
  "state": "optimized geometry",
  "lattice": [[-2.406, -8.266, 1.410], [8.434, 2.201, 0.340], [0.550, -3.330, 8.350]],
  "species": ["P", "O", "O", "O", "O", "O", "O", "O", "Mo", "O", "O", "P", "P", "Mo", "O", "P", "O", "O", "O", "O", "O", "O", "O", "P", "O", "Mo", "O", "O", "O", "P", "O", "O", "O", "Mo"],
  "fractional_positions": [[0.997, 0.465, 0.252], [0.151, 0.511, 0.582], [0.299, 0.084, 0.773], [0.732, 0.735, 0.411], [0.510, 0.928, 0.779], [0.268, 0.265, 0.589], [0.855, 0.285, 0.227], [0.095, 0.855, 0.415], [0.214, 0.858, 0.928], [0.849, 0.489, 0.418], [0.905, 0.145, 0.585], [0.283, 0.032, 0.251], [0.003, 0.535, 0.748], [0.788, 0.643, 0.569], [0.145, 0.715, 0.773], [0.717, 0.968, 0.749], [0.914, 0.782, 0.077], [0.848, 0.553, 0.724], [0.152, 0.447, 0.276], [0.133, 0.633, 0.084], [0.481, 0.430, 0.721], [0.490, 0.072, 0.221], [0.701, 0.916, 0.227], [0.283, 0.250, 0.751], [0.519, 0.570, 0.279], [0.786, 0.142, 0.072], [0.728, 0.799, 0.718], [0.272, 0.201, 0.282], [0.720, 0.996, 0.917], [0.717, 0.750, 0.249], [0.086, 0.218, 0.923], [0.280, 0.004, 0.083], [0.867, 0.367, 0.916], [0.212, 0.357, 0.431]],
  "crystal_system": "triclinic"
}

***

Energy relative to the most stable one, in kJ/mol of atoms: i 1.2; ii 0.0

***

i.
{
  "formula": "Li2Ti2Mn3O10",
  "functional": "GGA+U",
  "state": "optimized geometry",
  "lattice": [[-6.008, -0.760, -2.742], [3.193, -4.410, -5.527], [1.331, -4.752, 6.625]],
  "species": ["O", "O", "O", "O", "O", "O", "Ti", "O", "O", "O", "Li", "Mn", "O", "Mn", "O", "Mn", "Ti", "Mn", "O", "O", "Li", "Ti", "O", "O", "O", "Li", "Li", "O", "Mn", "O", "O", "O", "Mn", "Ti"],
  "fractional_positions": [[0.543, 0.534, 0.849], [0.199, 0.094, 0.521], [0.821, 0.656, 0.211], [0.667, 0.860, 0.786], [0.151, 0.713, 0.647], [0.966, 0.307, 0.076], [0.586, 0.728, 0.312], [0.179, 0.344, 0.789], [0.325, 0.388, 0.489], [0.685, 0.195, 0.699], [0.915, 0.167, 0.583], [0.256, 0.250, 0.006], [0.938, 0.978, 0.126], [0.793, 0.093, 0.905], [0.549, 0.188, 0.940], [0.718, 0.407, 0.115], [0.911, 0.783, 0.673], [0.207, 0.907, 0.095], [0.315, 0.805, 0.301], [0.675, 0.612, 0.511], [0.085, 0.833, 0.417], [0.089, 0.217, 0.327], [0.457, 0.466, 0.151], [0.849, 0.287, 0.353], [0.034, 0.693, 0.924], [0.571, 0.355, 0.390], [0.429, 0.645, 0.610], [0.062, 0.022, 0.874], [0.745, 0.750, 0.994], [0.451, 0.812, 0.060], [0.333, 0.140, 0.214], [0.801, 0.906, 0.479], [0.282, 0.593, 0.885], [0.414, 0.272, 0.688]],
  "crystal_system": "triclinic"
}

***

ii.
{
  "formula": "Li2Ti2Mn3O10",
  "functional": "GGA+U",
  "state": "optimized geometry",
  "lattice": [[-2.306, 3.209, -3.140], [-4.758, -2.004, 0.182], [-3.916, 4.732, 4.671]],
  "species": ["O", "Ti", "Li", "O", "O", "O", "O", "Mn", "Mn", "Ti", "O", "Mn", "O", "Li", "O", "O", "O"],
  "fractional_positions": [[0.780, 0.023, 0.139], [0.986, 0.130, 0.319], [0.512, 0.760, 0.407], [0.261, 0.813, 0.215], [0.797, 0.457, 0.331], [0.206, 0.347, 0.063], [0.230, 0.086, 0.478], [0.987, 0.310, 0.893], [0.500, 0.000, 0.000], [0.014, 0.870, 0.681], [0.203, 0.543, 0.669], [0.013, 0.690, 0.107], [0.770, 0.914, 0.522], [0.488, 0.240, 0.593], [0.220, 0.977, 0.861], [0.739, 0.187, 0.785], [0.794, 0.653, 0.937]],
  "crystal_system": "triclinic"
}

***

Energy relative to the most stable one, in kJ/mol of atoms: i 0.0; ii 1.7

***

i.
{
  "formula": "Li4Co3O7",
  "functional": "GGA+U",
  "state": "optimized geometry",
  "lattice": [[2.945, 0.000, 0.000], [-0.148, 5.903, 0.000], [-1.438, -1.579, 14.392]],
  "species": ["O", "O", "O", "Co", "O", "Co", "Co", "O", "Li", "Li", "Li", "Li", "Li", "Li", "O", "Li", "O", "O", "Li", "O", "O", "Co", "Co", "O", "O", "O", "Co", "O"],
  "fractional_positions": [[0.280, 0.907, 0.569], [0.605, 0.055, 0.144], [0.532, 0.519, 0.145], [0.357, 0.430, 0.717], [0.468, 0.481, 0.855], [0.066, 0.275, 0.135], [0.934, 0.725, 0.865], [0.130, 0.335, 0.275], [0.500, 0.500, 0.000], [0.070, 0.790, 0.138], [0.644, 0.072, 0.284], [0.356, 0.928, 0.716], [0.214, 0.358, 0.429], [0.930, 0.210, 0.862], [0.707, 0.619, 0.425], [0.500, 0.000, 0.000], [0.293, 0.381, 0.575], [0.395, 0.945, 0.856], [0.786, 0.642, 0.571], [0.005, 0.255, 0.014], [0.995, 0.745, 0.986], [0.214, 0.855, 0.428], [0.643, 0.570, 0.283], [0.146, 0.804, 0.288], [0.870, 0.665, 0.725], [0.720, 0.093, 0.431], [0.786, 0.145, 0.572], [0.854, 0.196, 0.712]],
  "crystal_system": "triclinic"
}

***

ii.
{
  "formula": "Li4Co3O7",
  "functional": "GGA+U",
  "state": "optimized geometry",
  "lattice": [[2.576, 0.000, -1.330], [0.600, 34.622, 1.162], [-0.124, 0.128, 2.919]],
  "species": ["Co", "O", "O", "Li", "Li", "Li", "Li", "O", "O", "O", "O", "O", "Li", "O", "O", "O", "O", "Li", "O", "Co", "Li", "Co", "Co", "Co", "O", "Co", "Li", "O"],
  "fractional_positions": [[0.714, 0.429, 0.428], [0.932, 0.106, 0.863], [0.639, 0.539, 0.277], [0.000, 0.500, 0.000], [0.143, 0.786, 0.286], [0.287, 0.073, 0.574], [0.429, 0.357, 0.858], [0.356, 0.966, 0.712], [0.647, 0.031, 0.293], [0.504, 0.747, 0.009], [0.356, 0.461, 0.712], [0.211, 0.179, 0.423], [0.714, 0.928, 0.428], [0.933, 0.604, 0.865], [0.210, 0.682, 0.420], [0.787, 0.319, 0.574], [0.496, 0.254, 0.992], [0.571, 0.143, 0.143], [0.071, 0.890, 0.141], [0.142, 0.286, 0.284], [0.571, 0.643, 0.143], [0.286, 0.571, 0.571], [0.429, 0.857, 0.857], [0.001, 0.000, 0.002], [0.072, 0.396, 0.145], [0.857, 0.714, 0.714], [0.856, 0.213, 0.711], [0.787, 0.824, 0.573]],
  "crystal_system": "monoclinic"
}

***

iii.
{
  "formula": "Li4Co3O7",
  "functional": "GGA+U",
  "state": "optimized geometry",
  "lattice": [[-2.623, 0.821, -4.263], [-3.944, -0.917, 4.246], [0.657, 8.370, 2.141]],
  "species": ["O", "Li", "Li", "Li", "O", "Li", "Li", "O", "Li", "O", "Co", "Li", "Co", "Co", "O", "O", "O", "Li", "O", "Co", "O", "O", "O", "O", "O", "O", "Co", "Co"],
  "fractional_positions": [[0.512, 0.264, 0.498], [0.500, 0.500, 0.000], [0.786, 0.072, 0.574], [0.922, 0.355, 0.860], [0.943, 0.120, 0.343], [0.214, 0.928, 0.426], [0.078, 0.645, 0.140], [0.339, 0.988, 0.212], [0.500, 0.000, 0.000], [0.804, 0.307, 0.087], [0.923, 0.860, 0.861], [0.643, 0.788, 0.283], [0.077, 0.140, 0.139], [0.786, 0.569, 0.570], [0.196, 0.693, 0.913], [0.926, 0.602, 0.364], [0.488, 0.736, 0.502], [0.357, 0.212, 0.717], [0.661, 0.012, 0.788], [0.359, 0.717, 0.722], [0.818, 0.843, 0.060], [0.652, 0.556, 0.790], [0.057, 0.880, 0.657], [0.074, 0.398, 0.636], [0.182, 0.157, 0.940], [0.348, 0.444, 0.210], [0.214, 0.431, 0.430], [0.641, 0.283, 0.278]],
  "crystal_system": "triclinic"
}

***

Energy relative to the most stable one, in kJ/mol of atoms: i 4.2; ii 14.9; iii 0.0